Entry 1:
{"formula": "Li2CuNiO4", "functional": "PBE+U", "state": "optimized geometry", "rho_g_cm3": 4.8, "spacegroup": "No. 10", "delta_e_f_kj_per_mol_fu": -1096, "total_energy_ev_per_atom": -4.9447, "lattice_angstrom": [[-0.471, 1.971, 2.122], [-4.791, 0.326, -1.368], [-2.643, -3.414, 2.585]], "species": ["Li", "Li", "Cu", "Ni", "O", "O", "O", "O"], "frac_coords": [[0.000, 0.000, 0.000], [0.500, 0.500, 0.000], [0.000, 0.500, 0.500], [0.500, 0.000, 0.500], [0.000, 0.755, 0.738], [0.500, 0.245, 0.716], [0.000, 0.245, 0.262], [0.500, 0.755, 0.284]]}



Entry 2:
{"formula": "Li2CuNiO4", "functional": "PBE+U", "state": "optimized geometry", "rho_g_cm3": 4.7, "delta_e_f_kj_per_mol_fu": -1126, "total_energy_ev_per_atom": -4.9844, "lattice_angstrom": [[-0.332, -3.766, -1.570], [0.350, -3.242, 7.701], [-4.076, 0.245, 0.288]], "species": ["Li", "Li", "Li", "Li", "Cu", "Cu", "Ni", "Ni", "O", "O", "O", "O", "O", "O", "O", "O"], "frac_coords": [[0.500, 0.750, 0.000], [0.000, 0.250, 0.500], [0.000, 0.500, 0.000], [0.500, 0.000, 0.500], [0.000, 0.750, 0.500], [0.500, 0.250, 0.000], [0.500, 0.500, 0.500], [0.000, 0.000, 0.000], [0.000, 0.976, 0.500], [0.500, 0.476, 0.000], [0.000, 0.524, 0.500], [0.500, 0.024, 0.000], [0.000, 0.765, 0.000], [0.500, 0.265, 0.500], [0.000, 0.235, 0.000], [0.500, 0.735, 0.500]]}



Entry 3:
{"formula": "Li4CuNi3O8", "functional": "PBE+U", "state": "optimized geometry", "rho_g_cm3": 4.6, "spacegroup": "No. 12", "delta_e_f_kj_per_mol_fu": -2267, "total_energy_ev_per_atom": -4.9395, "lattice_angstrom": [[-1.519, 5.363, 0.000], [-3.553, -3.903, -2.749], [-4.940, -1.399, 2.535]], "species": ["Li", "Li", "Li", "Li", "Cu", "Ni", "Ni", "Ni", "O", "O", "O", "O", "O", "O", "O", "O"], "frac_coords": [[0.500, 0.000, 0.500], [0.000, 0.000, 0.500], [0.500, 0.500, 0.000], [0.000, 0.500, 0.000], [0.000, 0.000, 0.000], [0.500, 0.500, 0.500], [0.000, 0.500, 0.500], [0.500, 0.000, 0.000], [0.726, 0.452, 0.300], [0.274, 0.548, 0.700], [0.253, 0.506, 0.267], [0.747, 0.494, 0.733], [0.759, 0.007, 0.774], [0.249, 0.007, 0.774], [0.751, 0.993, 0.226], [0.241, 0.993, 0.226]]}